# 1
First-principles (PBE) data for a relaxed structure of KBeH6N3, as listed in the Materials Project database.

Geometry as extended XYZ:
```
176
Lattice="11.297 0.000 0.000 0.000 13.287 0.000 0.000 0.000 13.093" Properties=species:S:1:pos:R:3 pbc="T T T"
K 0.631 0.266 2.072
K 0.631 6.377 8.618
K 1.836 2.669 12.587
K 1.836 3.974 6.040
K 3.812 9.313 12.587
K 3.812 10.618 6.040
K 5.018 6.910 2.072
K 5.018 13.021 8.618
K 6.280 0.266 4.475
K 6.280 6.377 11.022
K 7.485 2.669 7.053
K 7.485 3.974 0.506
K 9.461 9.313 7.053
K 9.461 10.618 0.506
K 10.666 6.910 4.475
K 10.666 13.021 11.022
Be 0.341 3.274 9.704
Be 0.341 3.370 3.157
Be 2.317 7.395 5.889
Be 2.317 12.535 12.435
Be 3.332 0.752 5.889
Be 3.332 5.892 12.435
Be 5.308 9.917 9.704
Be 5.308 10.013 3.157
Be 5.990 3.274 9.936
Be 5.990 3.370 3.389
Be 7.965 7.395 0.658
Be 7.965 12.535 7.204
Be 8.980 0.752 0.658
Be 8.980 5.892 7.204
Be 10.956 9.917 9.936
Be 10.956 10.013 3.389
H 0.667 8.261 11.164
H 0.667 11.670 4.617
H 0.756 1.583 4.624
H 0.756 5.061 11.170
H 0.805 8.741 1.765
H 0.805 11.190 8.311
H 0.936 9.237 5.703
H 0.936 10.693 12.250
H 1.269 8.977 7.290
H 1.269 10.954 0.744
H 1.656 7.243 0.090
H 1.656 12.687 6.637
H 1.754 9.016 10.177
H 1.754 10.914 3.631
H 1.903 7.460 3.584
H 1.903 12.470 10.130
H 2.167 2.528 8.486
H 2.167 4.116 1.940
H 2.227 0.270 7.872
H 2.227 6.373 1.325
H 2.519 2.726 2.745
H 2.519 3.917 9.292
H 2.755 7.092 10.511
H 2.755 12.839 3.965
H 2.893 0.448 10.511
H 2.893 6.195 3.965
H 3.130 9.370 2.745
H 3.130 10.561 9.292
H 3.421 6.914 7.872
H 3.421 13.017 1.325
H 3.482 9.171 8.486
H 3.482 10.759 1.940
H 3.746 0.817 3.584
H 3.746 5.827 10.130
H 3.895 2.373 10.177
H 3.895 4.271 3.631
H 3.993 0.600 0.090
H 3.993 6.044 6.637
H 4.380 2.333 7.290
H 4.380 4.310 0.744
H 4.713 2.594 5.703
H 4.713 4.050 12.250
H 4.843 2.097 1.765
H 4.843 4.546 8.311
H 4.892 8.226 4.624
H 4.892 11.704 11.170
H 4.982 1.617 11.164
H 4.982 5.026 4.617
H 6.315 8.261 8.476
H 6.315 11.670 1.929
H 6.405 1.583 1.923
H 6.405 5.061 8.470
H 6.454 8.741 4.782
H 6.454 11.190 11.328
H 6.584 9.237 0.844
H 6.584 10.693 7.390
H 6.917 8.977 12.350
H 6.917 10.954 5.803
H 7.304 7.243 6.456
H 7.304 12.687 13.003
H 7.403 9.016 9.463
H 7.403 10.914 2.916
H 7.551 7.460 2.963
H 7.551 12.470 9.509
H 7.815 2.528 11.154
H 7.815 4.116 4.607
H 7.876 0.270 11.768
H 7.876 6.373 5.221
H 8.168 2.726 3.801
H 8.168 3.917 10.348
H 8.404 7.092 9.129
H 8.404 12.839 2.582
H 8.542 0.448 9.129
H 8.542 6.195 2.582
H 8.778 9.370 3.801
H 8.778 10.561 10.348
H 9.070 6.914 11.768
H 9.070 13.017 5.221
H 9.130 9.171 11.154
H 9.130 10.759 4.607
H 9.395 0.817 2.963
H 9.395 5.827 9.509
H 9.543 2.373 9.463
H 9.543 4.271 2.916
H 9.642 0.600 6.456
H 9.642 6.044 13.003
H 10.029 2.333 12.350
H 10.029 4.310 5.803
H 10.361 2.594 0.844
H 10.361 4.050 7.390
H 10.492 2.097 4.782
H 10.492 4.546 11.328
H 10.541 8.226 1.923
H 10.541 11.704 8.470
H 10.630 1.617 8.476
H 10.630 5.026 1.929
N 0.076 2.274 4.305
N 0.076 4.370 10.851
N 0.765 8.789 10.296
N 0.765 11.142 3.749
N 1.272 8.537 6.369
N 1.272 11.394 12.916
N 1.754 3.291 2.374
N 1.754 3.353 8.921
N 2.310 6.932 4.355
N 2.310 12.999 10.901
N 2.497 6.770 0.424
N 2.497 13.160 6.971
N 3.152 0.127 0.424
N 3.152 6.517 6.971
N 3.338 0.288 4.355
N 3.338 6.355 10.901
N 3.894 9.934 2.374
N 3.894 9.996 8.921
N 4.377 1.893 6.369
N 4.377 4.750 12.916
N 4.883 2.145 10.296
N 4.883 4.498 3.749
N 5.572 8.917 4.305
N 5.572 11.013 10.851
N 5.725 2.274 2.242
N 5.725 4.370 8.788
N 6.414 8.789 9.344
N 6.414 11.142 2.797
N 6.921 8.537 0.177
N 6.921 11.394 6.724
N 7.403 3.291 4.172
N 7.403 3.353 10.719
N 7.959 6.932 2.192
N 7.959 12.999 8.738
N 8.145 6.770 6.122
N 8.145 13.160 12.669
N 8.800 0.127 6.122
N 8.800 6.517 12.669
N 8.987 0.288 2.192
N 8.987 6.355 8.738
N 9.543 9.934 4.172
N 9.543 9.996 10.719
N 10.025 1.893 0.177
N 10.025 4.750 6.724
N 10.532 2.145 9.344
N 10.532 4.498 2.797
N 11.221 8.917 2.242
N 11.221 11.013 8.788
```

spin magnetization = 0.000 μB per atom
space-group type = No. 61

# 2
First-principles (PBE) data for a relaxed structure of NaLa9Ge6O26, as listed in the Materials Project database.

Geometry as extended XYZ:
```
42
Lattice="9.981 0.000 0.000 -4.990 8.644 0.000 0.000 0.000 7.318" Properties=species:S:1:pos:R:3 pbc="T T T"
Na 0.000 0.000 0.000
La 0.000 0.000 3.713
La 0.000 5.762 0.047
La 0.000 5.762 3.692
La 3.750 0.876 5.537
La 2.655 2.925 1.864
La 6.120 0.837 1.864
La 3.875 4.958 5.537
La 7.347 2.809 5.537
La 6.196 4.882 1.864
Ge -1.119 2.621 1.853
Ge -2.880 6.104 5.523
Ge -2.161 8.302 1.853
Ge 1.144 3.098 5.523
Ge 1.736 8.085 5.523
Ge 3.280 6.364 1.853
O -2.769 4.993 4.128
O -2.784 5.019 6.931
O -3.649 7.376 1.945
O 0.427 1.795 1.945
O -0.942 4.397 1.865
O 1.025 1.366 5.477
O -0.386 4.027 5.533
O -1.310 6.964 5.533
O 2.833 0.744 3.268
O 2.958 0.794 0.504
O -0.712 7.261 1.865
O 2.036 3.723 6.931
O 2.051 3.750 4.128
O 1.654 5.629 1.865
O 1.696 6.296 5.533
O 0.718 8.545 4.128
O 0.748 8.545 6.931
O 4.990 2.881 1.899
O 4.990 2.881 5.536
O 4.199 5.685 0.504
O 4.218 5.818 3.268
O 3.222 8.116 1.945
O 8.285 0.205 5.477
O 7.814 2.165 0.504
O 7.920 2.082 3.268
O 5.661 7.073 5.477
```

spin magnetization = 0.000 μB per atom
space-group type = No. 143

# 3
First-principles (PBE) data for a relaxed structure of NaNb4P6O24, as listed in the Materials Project database.

Geometry as extended XYZ:
```
35
Lattice="4.441 2.564 7.445 -4.441 2.564 7.445 0.000 -5.128 7.445" Properties=species:S:1:pos:R:3 pbc="T T T"
Na 0.000 0.000 0.000
Nb 0.000 0.000 3.246
Nb 0.000 0.000 8.008
Nb 0.000 0.000 14.328
Nb 0.000 0.000 19.090
P -3.166 -0.343 9.292
P -1.286 -2.913 13.044
P 1.880 -2.570 9.292
P -1.880 2.570 13.044
P 1.286 2.913 9.292
P 3.166 0.343 13.044
O -3.467 -1.166 10.561
O -3.802 1.064 9.379
O -2.822 -2.760 12.957
O -0.697 -1.516 6.844
O -0.724 -3.586 11.775
O -1.639 -0.198 9.168
O 0.979 -3.824 9.379
O -0.964 1.362 6.844
O -2.744 2.419 11.775
O -0.648 -1.518 13.168
O 0.991 -1.320 9.168
O -1.662 -0.154 15.492
O 1.662 0.154 6.844
O -0.991 1.320 13.168
O 0.648 1.518 9.168
O 2.744 -2.419 10.561
O 0.964 -1.362 15.492
O -0.979 3.824 12.957
O 1.639 0.198 13.168
O 0.723 3.586 10.561
O 0.697 1.516 15.492
O 2.822 2.760 9.379
O 3.802 -1.064 12.957
O 3.467 1.166 11.775
```

spin magnetization = 0.086 μB per atom
space-group type = No. 148

# 4
First-principles (PBE) data for a relaxed structure of Th2Si3Pt3, as listed in the Materials Project database.

Geometry as extended XYZ:
```
8
Lattice="2.866 0.000 0.000 0.000 2.866 0.000 0.000 0.000 21.076" Properties=species:S:1:pos:R:3 pbc="T T T"
Th 0.000 0.000 5.195
Th 0.000 0.000 15.881
Si 0.000 0.000 0.000
Si 0.000 0.000 8.185
Si 0.000 0.000 12.891
Pt 0.000 0.000 2.368
Pt 0.000 0.000 10.538
Pt 0.000 0.000 18.708
```

spin magnetization = 0.000 μB per atom
space-group type = No. 123

# 5
First-principles (PBE) data for a relaxed structure of Ti2SeN2, as listed in the Materials Project database.

Geometry as extended XYZ:
```
5
Lattice="3.430 0.000 0.000 -1.715 2.970 0.000 0.000 0.000 6.414" Properties=species:S:1:pos:R:3 pbc="T T T"
Ti 0.000 1.980 2.010
Ti 1.715 0.990 4.404
Se 0.000 0.000 0.000
N 0.000 1.980 4.059
N 1.715 0.990 2.354
```

spin magnetization = 0.000 μB per atom
space-group type = No. 164

# 6
First-principles (PBE) data for a relaxed structure of K3EuF6, as listed in the Materials Project database.

Geometry as extended XYZ:
```
10
Lattice="-3.557 3.557 4.688 3.557 -3.557 4.688 3.557 3.557 -4.688" Properties=species:S:1:pos:R:3 pbc="T T T"
K 0.000 0.000 0.000
K 3.557 0.000 2.344
K 0.000 3.557 2.344
Eu 0.000 0.000 4.688
F 3.557 1.336 0.000
F 0.000 0.000 2.407
F 1.336 3.557 0.000
F 2.221 0.000 4.688
F 0.000 0.000 6.969
F 0.000 2.221 4.688
```

spin magnetization = 0.600 μB per atom
space-group type = No. 139

# 7
First-principles (PBE) data for a relaxed structure of KNa3In9, as listed in the Materials Project database.

Geometry as extended XYZ:
```
52
Lattice="5.121 -8.474 0.000 5.121 8.474 0.000 0.000 0.000 17.791" Properties=species:S:1:pos:R:3 pbc="T T T"
K 5.121 7.898 14.971
K 5.121 0.575 6.075
K 5.121 -0.575 11.716
K 5.121 -7.898 2.820
Na 3.155 4.541 16.199
Na 3.155 3.933 7.304
Na 2.561 1.944 13.343
Na 2.561 -1.944 4.448
Na 7.087 4.541 16.199
Na 7.087 3.933 7.304
Na 3.155 -3.933 10.487
Na 3.155 -4.541 1.592
Na 7.682 1.944 13.343
Na 7.682 -1.944 4.448
Na 7.087 -3.933 10.487
Na 7.087 -4.541 1.592
In 2.561 2.762 4.448
In 1.539 0.965 6.579
In 5.121 6.711 6.416
In 2.477 1.379 17.115
In 5.121 5.717 9.303
In 5.121 5.532 1.536
In 2.644 1.379 9.572
In 1.539 -0.965 11.212
In 5.121 4.366 4.351
In 5.121 4.108 13.246
In 3.582 0.965 2.317
In 2.477 -1.379 0.676
In 5.121 2.941 10.432
In 5.121 2.757 0.408
In 2.644 -1.379 8.219
In 5.121 1.763 15.312
In 3.582 -0.965 15.474
In 2.561 -2.762 13.343
In 7.682 2.762 4.448
In 6.660 0.965 2.317
In 5.121 -1.763 2.479
In 7.598 1.379 9.572
In 5.121 -2.757 17.383
In 5.121 -2.941 7.359
In 7.766 1.379 17.115
In 6.660 -0.965 15.474
In 5.121 -4.108 4.544
In 5.121 -4.366 13.440
In 8.703 0.965 6.579
In 7.598 -1.379 8.219
In 5.121 -5.532 16.255
In 5.121 -5.717 8.488
In 7.766 -1.379 0.676
In 5.121 -6.711 11.375
In 8.703 -0.965 11.212
In 7.682 -2.762 13.343
```

spin magnetization = 0.000 μB per atom
space-group type = No. 64

# 8
First-principles (PBE) data for a relaxed structure of Ba2Ca2Tl2Cu3O10, as listed in the Materials Project database.

Geometry as extended XYZ:
```
19
Lattice="-1.940 18.377 1.947 1.940 -18.377 1.947 1.940 18.377 -1.947" Properties=species:S:1:pos:R:3 pbc="T T T"
Ba 0.000 5.190 0.000
Ba 0.000 31.564 0.000
Ca 0.000 1.635 0.012
Ca 0.000 35.119 0.012
Tl 0.000 10.340 0.066
Tl 0.000 26.413 0.066
Cu 0.000 15.198 0.010
Cu 0.000 18.377 0.012
Cu 0.000 21.556 0.010
O 1.940 0.000 0.012
O 1.940 3.192 0.010
O 1.940 -10.117 1.567
O 1.940 -5.983 1.921
O 1.940 15.187 0.011
O 0.000 0.000 1.959
O 0.000 3.190 1.958
O 1.940 5.983 1.921
O 1.940 10.117 1.567
O 0.000 15.185 1.957
```

spin magnetization = 0.000 μB per atom
space-group type = No. 44
energy relative to the lowest polymorph listed for this composition = 0 meV per atom

# 9
First-principles (PBE) data for a relaxed structure of SrHN, as listed in the Materials Project database.

Geometry as extended XYZ:
```
12
Lattice="7.574 0.000 0.000 0.000 3.945 0.000 0.000 0.000 5.723" Properties=species:S:1:pos:R:3 pbc="T T T"
Sr 1.132 0.986 1.035
Sr 2.655 2.959 3.897
Sr 4.919 0.986 1.826
Sr 6.442 2.959 4.688
H 0.169 0.986 3.448
H 3.617 2.959 0.587
H 3.956 0.986 5.136
H 7.404 2.959 2.275
N 0.848 0.986 4.234
N 2.939 2.959 1.373
N 4.634 0.986 4.350
N 6.726 2.959 1.489
```

space-group type = No. 62

# 10
First-principles (PBE) data for a relaxed structure of Ag2Se, as listed in the Materials Project database.

Geometry as extended XYZ:
```
6
Lattice="2.480 -3.637 0.000 2.480 3.637 0.000 0.000 0.000 7.221" Properties=species:S:1:pos:R:3 pbc="T T T"
Ag 2.480 2.550 6.208
Ag 2.480 1.087 2.598
Ag 2.480 -1.087 4.623
Ag 2.480 -2.550 1.012
Se 0.000 0.000 3.610
Se 2.480 0.000 0.000
```

space-group type = No. 64

Across the entries above, DFT formation energy takes the values -0.601, -3.176, -2.814, 0.497, -1.416, -3.233, -0.124, -1.939, -0.793, -0.189 eV per atom, respectively.
Across the entries above, uncorrected energy takes the values -891.8, -317.7, -275.0, -45.3, -42.3, -54.6, -125.8, -104.3, -61.7, -18.5 eV per cell, respectively.